A geometry-optimized RbMn6O12 structure. Source: the Materials Project database, functional PBE with a Hubbard U.

```
38
Lattice="7.2555 0.0000 0.0000 -0.8801 8.3292 0.0000 -0.9611 -3.8049 7.4349" Properties=species:S:1:pos:R:3 pbc="T T T"
Rb 0.0000 0.0000 0.0000
Rb -1.0308 2.6927 4.3979
Mn 0.7352 -1.4655 4.2246
Mn 0.1276 0.0550 6.7010
Mn 0.4723 5.3592 1.7707
Mn 2.5231 -2.4888 7.0905
Mn 2.8827 2.8280 2.1081
Mn 2.2679 4.3361 4.6106
Mn 2.0993 2.8881 7.2428
Mn 3.3448 -0.1330 2.2907
Mn 2.7405 1.3814 4.7508
Mn 5.1362 -1.1570 5.1118
Mn 4.8651 5.6647 2.6353
Mn 5.4916 4.1624 0.1607
O -0.5034 -0.0748 4.8005
O -1.1291 1.4817 7.3359
O -0.7595 6.7897 2.3770
O 0.8960 5.3310 3.6621
O 1.1749 -1.4864 6.1154
O 1.5599 3.8791 1.1578
O 1.0357 4.1873 6.2328
O 2.3050 1.1532 1.2269
O 1.7165 2.6767 3.6890
O 1.4362 1.3963 6.1914
O 1.7839 6.6953 1.2715
O 2.0722 -0.1380 3.7538
O 4.1486 2.8412 0.6309
O 3.8273 -2.4944 5.6575
O 3.5696 4.3226 3.1243
O 4.5235 0.0051 0.7236
O 3.9277 1.5032 3.1867
O 3.3121 3.0472 5.6732
O 4.6371 -1.2063 3.2523
O 4.4304 5.6812 0.7482
O 4.1116 0.3839 5.6975
O 6.1086 4.2646 2.0320
O 5.7720 -1.0406 6.9677
O 5.5008 5.7418 4.5134
```

Symmetry: No. 1
Energy of formation from the pure elements in meV/atom: -1915
Total energy after the MP2020 corrections in eV/atom: -7.99
Final energy in eV/atom: -7.02
Theoretical density in g/cm3: 4.49

---

A geometry-optimized RbMnO3 structure. Source: the Materials Project database, functional PBE with a Hubbard U.

```
5
Lattice="4.0393 0.0000 0.0000 0.0000 4.0393 0.0000 0.0000 0.0000 4.0393" Properties=species:S:1:pos:R:3 pbc="T T T"
Rb 0.0000 0.0000 0.0000
Mn 2.0196 2.0196 2.0196
O 0.0000 2.0196 2.0196
O 2.0196 0.0000 2.0196
O 2.0196 2.0196 0.0000
```

Symmetry: No. 221
Energy of formation from the pure elements in meV/atom: -1378
Size of the total moment in μB/f.u.: 1.994
Total energy after the MP2020 corrections in eV/atom: -6.38
Final energy in eV/atom: -5.63
Theoretical density in g/cm3: 4.75

---

A geometry-optimized Rb3Mn16O32 structure. Source: the Materials Project database, functional PBE with a Hubbard U.

```
51
Lattice="8.3879 0.0000 0.0000 -2.3558 8.0532 0.0000 -2.0977 -4.7094 8.8797" Properties=species:S:1:pos:R:3 pbc="T T T"
Rb 0.0000 0.0000 0.0000
Rb -0.4997 6.6636 2.6151
Rb 4.4341 -3.3199 6.2646
Mn -1.3632 -0.8796 4.4515
Mn -2.5612 -0.1404 7.6751
Mn -0.3209 2.3081 3.4324
Mn -1.5285 3.0475 6.6501
Mn 0.2056 -2.0549 6.6753
Mn 1.1106 3.3768 1.0096
Mn 1.2530 1.1367 5.6550
Mn 0.0599 1.8713 8.8613
Mn 3.8745 1.4724 0.0184
Mn 2.6813 2.2070 3.2247
Mn 2.8238 -0.0331 7.8701
Mn 3.7288 5.3987 2.2044
Mn 5.4628 0.2962 2.2297
Mn 4.2553 1.0356 5.4473
Mn 6.4955 3.4842 1.2046
Mn 5.2975 4.2234 4.4282
O -2.5926 -1.7636 8.7936
O -2.7009 1.5084 6.6681
O -3.0778 4.2525 6.4006
O -1.4203 -1.0354 6.3823
O -1.4827 3.1914 4.7204
O 0.1683 -2.1029 4.7170
O -0.2897 3.8997 2.2844
O -0.1767 0.6557 4.4401
O 1.0967 1.7527 2.1469
O 0.9756 5.0325 0.0082
O -1.4916 3.0711 8.6357
O 0.1529 -2.2201 8.6048
O 0.1013 2.0364 6.9327
O 1.7262 -3.2768 6.9300
O 1.2710 2.7372 4.4924
O 1.3792 -0.5017 6.6710
O 2.5552 3.8454 2.2087
O 2.6634 0.6066 4.3873
O 2.2081 6.6205 1.9497
O 3.8331 1.3073 1.9470
O 3.7814 5.5639 0.2749
O 5.4259 0.2727 0.2440
O 2.9588 -1.6887 8.8715
O 2.8377 1.5911 6.7328
O 4.1111 2.6880 4.4396
O 4.2240 -0.5560 6.5953
O 3.7661 5.4466 4.1627
O 5.4170 0.1523 4.1593
O 5.3546 4.3792 2.4974
O 7.0122 -0.9087 2.4791
O 6.6353 1.8354 2.2116
O 6.5269 5.1074 0.0861
```

Energy above the lowest structure with this stoichiometry in meV per atom: 0
Symmetry: No. 2
Energy of formation from the pure elements in meV/atom: -1922
Size of the total moment in μB/f.u.: 51.003
Total energy after the MP2020 corrections in eV/atom: -7.96
Final energy in eV/atom: -7.00
Theoretical density in g/cm3: 4.56

---

A geometry-optimized RbMnO2 structure. Source: the Materials Project database, functional PBE with a Hubbard U.

```
24
Lattice="6.6354 0.0000 0.0000 1.5510 7.7449 0.0000 0.2447 1.8722 8.4349" Properties=species:S:1:pos:R:3 pbc="T T T"
Rb 0.0000 0.0000 0.0000
Rb 0.2634 0.9218 3.4937
Rb 2.2500 6.6148 6.4599
Rb 2.2597 5.1028 2.5250
Rb 2.6923 3.0552 5.4873
Rb 2.7153 2.0989 0.5573
Mn 5.0768 6.3384 0.6931
Mn 5.1777 7.0021 3.5049
Mn 5.3362 7.6346 6.3086
Mn 5.8068 4.0960 2.6770
Mn 5.9667 4.7215 5.4825
Mn 6.0700 5.3650 8.2905
O 3.9971 7.3350 1.9742
O 4.1847 8.0187 4.8071
O 4.2890 8.6897 7.5589
O 4.6270 4.8355 4.0407
O 4.5519 4.2036 1.1813
O 4.7523 5.3940 6.8480
O 6.3940 6.3225 2.1386
O 6.5915 7.5066 7.8037
O 6.5153 6.8917 4.9481
O 6.8581 3.0314 1.4278
O 6.9540 3.7036 4.1787
O 7.1506 4.3774 7.0088
```

Symmetry: No. 1
Energy of formation from the pure elements in meV/atom: -1926
Total energy after the MP2020 corrections in eV/atom: -6.94
Final energy in eV/atom: -6.17
Theoretical density in g/cm3: 3.96

---

A geometry-optimized Rb2Mn3O4 structure. Source: the Materials Project database, functional PBE with a Hubbard U.

```
18
Lattice="7.9849 -3.4071 0.0000 7.9849 3.4071 0.0000 -1.2921 0.0000 5.9355" Properties=species:S:1:pos:R:3 pbc="T T T"
Rb 5.4483 2.5295 2.9795
Rb 8.5834 2.5295 5.9237
Rb 6.0944 -2.5295 0.0118
Rb 9.2294 -2.5295 2.9560
Mn 3.7212 0.7872 5.4008
Mn 4.3672 -0.7872 2.4331
Mn 7.6619 0.1195 1.4839
Mn 7.0159 -0.1195 4.4516
Mn 10.3105 0.7872 3.5024
Mn 10.9566 -0.7872 0.5346
O 3.8857 0.8332 1.2473
O 5.7594 1.1091 5.6681
O 3.2396 -0.8332 4.2150
O 8.2723 1.1091 3.2351
O 6.4055 -1.1091 2.7004
O 11.4381 0.8332 1.7204
O 8.9183 -1.1091 0.2673
O 10.7921 -0.8332 4.6882
```

Symmetry: No. 15
Energy of formation from the pure elements in meV/atom: -1755
Total energy after the MP2020 corrections in eV/atom: -7.23
Final energy in eV/atom: -6.36
Theoretical density in g/cm3: 4.11

---

A geometry-optimized Rb2MnSi5O12 structure. Source: the Materials Project database, functional PBE with a Hubbard U.

```
160
Lattice="13.6274 0.0000 0.0000 0.0000 13.9808 0.0000 0.0000 0.0000 13.8619" Properties=species:S:1:pos:R:3 pbc="T T T"
Rb 1.6088 1.4386 1.4712
Rb 1.6088 5.5518 8.4021
Rb 1.7436 8.9262 11.7601
Rb 1.7436 12.0450 4.8291
Rb 5.0701 1.9358 11.7601
Rb 5.0701 5.0546 4.8291
Rb 5.2048 8.4290 1.4712
Rb 5.2048 12.5422 8.4021
Rb 8.4225 1.4386 5.4598
Rb 8.4225 5.5518 12.3908
Rb 8.5572 8.9262 9.0328
Rb 8.5572 12.0450 2.1019
Rb 11.8838 1.9358 9.0328
Rb 11.8838 5.0546 2.1019
Rb 12.0185 8.4290 5.4598
Rb 12.0185 12.5422 12.3908
Mn 1.7234 9.3389 7.7533
Mn 1.7234 11.6323 0.8224
Mn 5.0903 2.3485 7.7533
Mn 5.0903 4.6419 0.8224
Mn 8.5371 9.3389 13.0396
Mn 8.5371 11.6323 6.1086
Mn 11.9039 2.3485 13.0396
Mn 11.9039 4.6419 6.1086
Si 1.2323 8.5869 1.8311
Si 1.2323 12.3843 8.7621
Si 1.2982 1.8883 11.3204
Si 1.2982 5.1021 4.3894
Si 1.7242 2.3338 5.5008
Si 1.7242 4.6566 12.4318
Si 2.0373 1.3384 8.3960
Si 2.0373 5.6520 1.4650
Si 2.3377 8.0505 4.7551
Si 2.3377 12.9207 11.6861
Si 4.4759 1.0601 4.7551
Si 4.4759 5.9303 11.6861
Si 4.7764 8.3288 8.3960
Si 4.7764 12.6424 1.4650
Si 5.0894 9.3242 5.5008
Si 5.0894 11.6470 12.4318
Si 5.5155 8.8787 11.3204
Si 5.5155 12.0924 4.3894
Si 5.5813 1.5965 1.8311
Si 5.5813 5.3939 8.7621
Si 8.0460 8.5869 5.0999
Si 8.0460 12.3843 12.0308
Si 8.1119 1.8883 9.4725
Si 8.1119 5.1021 2.5416
Si 8.5379 2.3338 1.4302
Si 8.5379 4.6566 8.3611
Si 8.8510 1.3384 12.3969
Si 8.8510 5.6520 5.4660
Si 9.1514 8.0505 2.1759
Si 9.1514 12.9207 9.1068
Si 11.2896 1.0601 2.1759
Si 11.2896 5.9303 9.1068
Si 11.5901 8.3288 12.3969
Si 11.5901 12.6424 5.4660
Si 11.9031 9.3242 1.4302
Si 11.9031 11.6470 8.3611
Si 12.3292 8.8787 9.4725
Si 12.3292 12.0924 2.5416
Si 12.3950 1.5965 5.0999
Si 12.3950 5.3939 12.0308
O 0.2110 8.7516 8.9893
O 0.2110 12.2196 2.0583
O 0.3484 1.9435 4.7094
O 0.3484 5.0469 11.6403
O 1.1748 7.0386 1.2811
O 1.1748 13.9326 8.2121
O 1.3853 2.1417 9.6889
O 1.3853 4.8487 2.7580
O 1.3933 8.8047 5.7956
O 1.3933 12.1665 12.7266
O 1.5686 2.2999 7.1220
O 1.5686 4.6905 0.1910
O 1.8778 9.5870 0.7685
O 1.8778 11.3842 7.6995
O 2.0826 8.6093 3.2344
O 2.0826 12.3619 10.1654
O 2.1579 3.1331 12.0165
O 2.1579 3.8573 5.0855
O 2.2187 0.5836 11.7233
O 2.2187 6.4068 4.7924
O 2.8452 1.2623 5.0010
O 2.8452 5.7281 11.9320
O 3.1985 8.1076 8.5012
O 3.1985 12.8636 1.5702
O 3.6152 1.1172 8.5012
O 3.6152 5.8732 1.5702
O 3.9685 8.2527 5.0010
O 3.9685 12.7185 11.9320
O 4.5950 7.5740 11.7233
O 4.5950 13.3972 4.7924
O 4.6558 10.1235 12.0165
O 4.6558 10.8477 5.0855
O 4.7311 1.6189 3.2344
O 4.7311 5.3715 10.1654
O 4.9359 2.5966 0.7685
O 4.9359 4.3938 7.6995
O 5.2450 9.2903 7.1220
O 5.2450 11.6809 0.1910
O 5.4203 1.8143 5.7956
O 5.4203 5.1761 12.7266
O 5.4284 9.1321 9.6889
O 5.4284 11.8391 2.7580
O 5.6388 0.0482 1.2811
O 5.6388 6.9422 8.2121
O 6.4652 8.9339 4.7094
O 6.4652 12.0373 11.6403
O 6.6026 1.7612 8.9893
O 6.6026 5.2292 2.0583
O 7.0247 8.7516 11.8036
O 7.0247 12.2196 4.8726
O 7.1621 1.9435 2.2216
O 7.1621 5.0469 9.1525
O 7.9885 7.0386 5.6498
O 7.9885 13.9326 12.5808
O 8.1990 2.1417 11.1040
O 8.1990 4.8487 4.1730
O 8.2070 8.8047 1.1353
O 8.2070 12.1665 8.0663
O 8.3823 2.2999 13.6709
O 8.3823 4.6905 6.7400
O 8.6915 9.5870 6.1625
O 8.6915 11.3842 13.0934
O 8.8963 8.6093 3.6965
O 8.8963 12.3619 10.6275
O 8.9716 3.1331 8.7764
O 8.9716 3.8573 1.8454
O 9.0323 0.5836 9.0696
O 9.0323 6.4068 2.1386
O 9.6589 1.2623 1.9299
O 9.6589 5.7281 8.8609
O 10.0122 8.1076 12.2917
O 10.0122 12.8636 5.3607
O 10.4288 1.1172 12.2917
O 10.4288 5.8732 5.3607
O 10.7822 8.2527 1.9299
O 10.7822 12.7185 8.8609
O 11.4087 7.5740 9.0696
O 11.4087 13.3972 2.1386
O 11.4695 10.1235 8.7764
O 11.4695 10.8477 1.8454
O 11.5448 1.6189 3.6965
O 11.5448 5.3715 10.6275
O 11.7495 2.5966 6.1625
O 11.7495 4.3938 13.0934
O 12.0587 9.2903 13.6709
O 12.0587 11.6809 6.7400
O 12.2340 1.8143 1.1353
O 12.2340 5.1761 8.0663
O 12.2421 9.1321 11.1040
O 12.2421 11.8391 4.1730
O 12.4525 0.0482 5.6498
O 12.4525 6.9422 12.5808
O 13.2789 8.9339 2.2216
O 13.2789 12.0373 9.1525
O 13.4163 1.7612 11.8036
O 13.4163 5.2292 4.8726
```

Symmetry: No. 61
Energy of formation from the pure elements in meV/atom: -3014
Size of the total moment in μB/f.u.: 5.000
Total energy after the MP2020 corrections in eV/atom: -7.90
Final energy in eV/atom: -7.40
Theoretical density in g/cm3: 2.81

---

A geometry-optimized Rb2U3MnO11 structure. Source: the Materials Project database, functional PBE with a Hubbard U.

```
34
Lattice="3.4478 1.9906 12.8199 -3.4478 1.9906 12.8199 0.0000 -3.9812 12.8199" Properties=species:S:1:pos:R:3 pbc="T T T"
Rb 0.0000 0.0000 6.6542
Rb 0.0000 0.0000 12.5757
Rb 0.0000 0.0000 25.8841
Rb 0.0000 0.0000 31.8057
U -2.1846 0.1973 16.0249
U -1.2632 -1.7933 22.4349
U 0.9214 -1.9906 16.0249
U -0.9214 1.9906 22.4349
U 1.2632 1.7933 16.0249
U 2.1846 -0.1973 22.4349
Mn 0.0000 0.0000 0.0000
Mn 0.0000 0.0000 19.2299
O -1.7141 -1.9906 16.0249
O -2.4200 0.4959 14.1276
O 0.0000 0.0000 3.6442
O -1.8084 0.1428 17.9223
O -1.6395 -1.8478 24.3322
O -2.5810 0.4892 22.4349
O -1.0278 -1.4947 20.5375
O 0.7805 -2.3437 14.1276
O 0.0000 0.0000 15.5857
O 0.7805 -1.6375 17.9223
O -0.8669 2.4798 16.0249
O 0.8669 -2.4798 22.4349
O -0.7805 1.6375 20.5375
O 0.0000 0.0000 22.8741
O -0.7805 2.3437 24.3323
O 1.0278 1.4947 17.9223
O 2.5810 -0.4892 16.0249
O 1.6395 1.8478 14.1275
O 1.8083 -0.1428 20.5375
O 0.0000 0.0000 34.8156
O 2.4200 -0.4959 24.3323
O 1.7141 1.9906 22.4349
```

Symmetry: No. 167
Energy of formation from the pure elements in meV/atom: -3097
Size of the total moment in μB/f.u.: 1.000
Total energy after the MP2020 corrections in eV/atom: -8.95
Final energy in eV/atom: -8.40
Theoretical density in g/cm3: 7.02

---

A geometry-optimized RbMnVO4 structure. Source: the Materials Project database, functional PBE with a Hubbard U.

```
56
Lattice="11.5085 0.0000 0.0000 -5.7542 9.9666 0.0000 0.0000 0.0000 9.2084" Properties=species:S:1:pos:R:3 pbc="T T T"
Rb 0.0000 0.0000 0.0000
Rb 0.0000 0.0000 4.6042
Rb -2.5193 5.2571 0.1319
Rb 2.4611 5.1563 0.1319
Rb 0.0582 9.5198 0.1319
Rb 5.6960 0.4468 4.7362
Rb 3.2932 4.8103 4.7362
Rb 8.2735 4.7095 4.7362
Mn -0.0041 3.2811 2.9225
Mn -2.9106 8.3296 2.9225
Mn 2.8395 1.6441 7.5267
Mn 0.0000 6.6444 6.2776
Mn 5.7542 3.3222 1.6734
Mn 2.9148 8.3225 2.9225
Mn 8.6649 1.6370 7.5267
Mn 5.7584 6.6855 7.5267
V -0.0740 3.3137 6.5291
V -2.8475 8.3738 6.5291
V 2.8328 1.7209 1.9249
V 0.0000 6.6444 2.5171
V 5.7542 3.3222 7.1214
V 2.9215 8.2457 6.5291
V 8.6017 1.5928 1.9249
V 5.8282 6.6529 1.9249
O -4.5650 8.1606 6.7750
O -1.4978 3.1706 7.5326
O -0.6050 3.3170 4.8699
O -1.9524 6.9027 6.8855
O 0.9694 1.9329 6.7750
O 2.1587 0.1269 2.1708
O -2.5791 8.8320 4.8699
O -0.2283 5.0231 1.8940
O -1.2900 7.6528 1.8940
O -2.2595 9.6785 7.5326
O 0.7525 4.8244 6.8855
O 1.9969 2.8824 2.9284
O 2.5701 2.1824 0.2657
O 0.0000 6.6444 4.2402
O 4.5543 1.7605 2.2813
O 1.5183 7.2574 1.8940
O 4.2360 2.7092 6.4982
O 1.1999 8.2061 6.8855
O 5.7542 3.3222 8.8444
O 3.1841 7.7842 4.8699
O 3.7573 7.0842 7.5326
O 5.0017 5.1422 2.2813
O 8.0138 0.2881 2.9284
O 7.0442 2.3138 6.4982
O 5.9825 4.9435 6.4982
O 8.3333 1.1346 0.2657
O 3.5956 9.8397 6.7750
O 4.7848 8.0337 2.1708
O 7.7066 3.0639 2.2813
O 6.3592 6.6496 0.2657
O 7.2520 6.7961 2.9284
O 10.3192 1.8060 2.1708
```

Symmetry: No. 173
Energy of formation from the pure elements in meV/atom: -2341
Size of the total moment in μB/f.u.: 5.001
Total energy after the MP2020 corrections in eV/atom: -7.92
Final energy in eV/atom: -7.04
Theoretical density in g/cm3: 3.21